# 1
# Na14Mn2O9 meta-GGA r2SCAN optimized geometry
# Space-group type: P3
# M_tot (Bohr magnetons per cell): 10.000
data_Na14Mn2O9
_space_group_name_H-M_alt 'P 1'
_space_group_IT_number 1
_space_group_name_Hall 'P 1'
_cell_length_a 6.6015
_cell_length_b 6.6015
_cell_length_c 9.2485
_cell_angle_alpha 90.00
_cell_angle_beta 90.00
_cell_angle_gamma 120.00
loop_
_atom_site_label
_atom_site_fract_x
_atom_site_fract_y
_atom_site_fract_z
Na1 0.0000 0.0000 0.2518
Na2 0.0000 0.0000 0.7474
Na3 0.0663 0.3764 0.5923
Na4 0.6236 0.6900 0.5923
Na5 0.3100 0.9336 0.5923
Na6 0.9333 0.6240 0.4099
Na7 0.3760 0.3092 0.4099
Na8 0.6908 0.0668 0.4099
Na9 0.6790 0.6399 0.0906
Na10 0.3601 0.0391 0.0906
Na11 0.9609 0.3210 0.0906
Na12 0.3209 0.3604 0.9079
Na13 0.6396 0.9605 0.9079
Na14 0.0396 0.6791 0.9079
Mn1 0.3333 0.6667 0.2627
Mn2 0.6666 0.3333 0.7377
O1 0.3333 0.6667 0.0385
O2 0.6667 0.3333 0.9595
O3 0.0000 0.0000 0.9993
O4 0.9468 0.6424 0.6627
O5 0.3576 0.3044 0.6627
O6 0.6956 0.0532 0.6627
O7 0.0530 0.3577 0.3376
O8 0.6423 0.6954 0.3375
O9 0.3046 0.9470 0.3375

---

# 2
# NaMn2O4 meta-GGA r2SCAN optimized geometry
# Space-group type: P-1
# M_tot (Bohr magnetons per cell): 5.001
data_NaMn2O4
_space_group_name_H-M_alt 'P 1'
_space_group_IT_number 1
_space_group_name_Hall 'P 1'
_cell_length_a 2.8665
_cell_length_b 4.8741
_cell_length_c 5.7290
_cell_angle_alpha 107.15
_cell_angle_beta 90.12
_cell_angle_gamma 89.99
loop_
_atom_site_label
_atom_site_fract_x
_atom_site_fract_y
_atom_site_fract_z
Na1 0.5000 0.0000 0.5000
Mn1 0.0000 0.0000 0.0000
Mn2 0.5000 0.5000 0.0000
O1 0.4992 0.7755 0.8184
O2 0.9993 0.2668 0.8121
O3 0.0007 0.7332 0.1879
O4 0.5008 0.2245 0.1816

---

# 3
# Na6MnO4 meta-GGA r2SCAN optimized geometry
# M_tot (Bohr magnetons per cell): 20.000
data_Na6MnO4
_space_group_name_H-M_alt 'P 1'
_space_group_IT_number 1
_space_group_name_Hall 'P 1'
_cell_length_a 5.8427
_cell_length_b 7.6076
_cell_length_c 13.1797
_cell_angle_alpha 90.00
_cell_angle_beta 90.00
_cell_angle_gamma 90.00
loop_
_atom_site_label
_atom_site_fract_x
_atom_site_fract_y
_atom_site_fract_z
Na1 0.1423 0.5000 0.0379
Na2 0.1423 0.0000 0.5379
Na3 0.6426 0.1932 0.2693
Na4 0.6426 0.6932 0.7693
Na5 0.1426 0.6932 0.2307
Na6 0.1426 0.1932 0.7307
Na7 0.1426 0.3068 0.2307
Na8 0.1426 0.8068 0.7307
Na9 0.6426 0.8068 0.2693
Na10 0.6426 0.3068 0.7693
Na11 0.6423 0.0000 0.4621
Na12 0.6423 0.5000 0.9621
Na13 0.9737 0.7100 0.4301
Na14 0.9737 0.2100 0.9301
Na15 0.4737 0.2100 0.0699
Na16 0.4737 0.7100 0.5699
Na17 0.4741 0.5000 0.3594
Na18 0.4741 0.0000 0.8594
Na19 0.4737 0.7900 0.0699
Na20 0.4737 0.2900 0.5699
Na21 0.9737 0.2900 0.4301
Na22 0.9737 0.7900 0.9301
Na23 0.9741 0.0000 0.1406
Na24 0.9741 0.5000 0.6406
Mn1 0.7478 0.0000 0.6668
Mn2 0.2478 0.5000 0.8332
Mn3 0.7478 0.5000 0.1668
Mn4 0.2478 0.0000 0.3332
O1 0.4054 0.5000 0.1667
O2 0.4054 0.0000 0.6667
O3 0.9054 0.0000 0.3333
O4 0.9054 0.5000 0.8333
O5 0.3639 0.7807 0.4064
O6 0.3639 0.2807 0.9064
O7 0.8639 0.2807 0.0936
O8 0.8639 0.7807 0.5936
O9 0.8642 0.5000 0.3130
O10 0.8642 0.0000 0.8130
O11 0.3642 0.0000 0.1870
O12 0.3642 0.5000 0.6870
O13 0.3639 0.2193 0.4064
O14 0.3639 0.7193 0.9064
O15 0.8639 0.7193 0.0936
O16 0.8639 0.2193 0.5936

---

# 4
# Na2MnO2 meta-GGA r2SCAN optimized geometry
# Space-group type: C2/c
# M_tot (Bohr magnetons per cell): 0.000
data_Na2MnO2
_space_group_name_H-M_alt 'P 1'
_space_group_IT_number 1
_space_group_name_Hall 'P 1'
_cell_length_a 6.0842
_cell_length_b 8.5775
_cell_length_c 8.5775
_cell_angle_alpha 86.89
_cell_angle_beta 69.59
_cell_angle_gamma 69.59
loop_
_atom_site_label
_atom_site_fract_x
_atom_site_fract_y
_atom_site_fract_z
Na1 0.2500 0.9380 0.0620
Na2 0.7500 0.0620 0.9380
Na3 0.7500 0.8009 0.1991
Na4 0.2500 0.1991 0.8009
Na5 0.7364 0.4023 0.9960
Na6 0.7636 0.0040 0.5977
Na7 0.2636 0.5977 0.0040
Na8 0.2364 0.9960 0.4023
Na9 0.2281 0.3236 0.4688
Na10 0.7719 0.6764 0.5312
Na11 0.7281 0.4688 0.3236
Na12 0.2719 0.5312 0.6764
Mn1 0.2500 0.6791 0.3209
Mn2 0.2568 0.2892 0.1319
Mn3 0.2432 0.8681 0.7108
Mn4 0.7500 0.3209 0.6791
Mn5 0.7432 0.7108 0.8681
Mn6 0.7568 0.1319 0.2892
O1 0.4684 0.3269 0.8992
O2 0.0316 0.1008 0.6731
O3 0.5316 0.6731 0.1008
O4 0.9684 0.8992 0.3269
O5 0.5129 0.8936 0.7804
O6 0.9871 0.2196 0.1064
O7 0.0129 0.7804 0.8936
O8 0.4871 0.1064 0.2196
O9 0.5959 0.2799 0.5162
O10 0.9041 0.4838 0.7201
O11 0.0959 0.5162 0.2799
O12 0.4041 0.7201 0.4838

---

# 5
# Rb2NaMnO4 meta-GGA r2SCAN optimized geometry
# Space-group type: P2_1/m
# M_tot (Bohr magnetons per cell): 4.000
data_Rb2NaMnO4
_space_group_name_H-M_alt 'P 1'
_space_group_IT_number 1
_space_group_name_Hall 'P 1'
_cell_length_a 5.9566
_cell_length_b 5.8992
_cell_length_c 7.8551
_cell_angle_alpha 87.31
_cell_angle_beta 90.00
_cell_angle_gamma 90.00
loop_
_atom_site_label
_atom_site_fract_x
_atom_site_fract_y
_atom_site_fract_z
Rb1 0.7500 0.1282 0.8265
Rb2 0.2500 0.8718 0.1735
Rb3 0.2500 0.3062 0.4859
Rb4 0.7500 0.6938 0.5141
Na1 0.7500 0.6174 0.0315
Na2 0.2500 0.3826 0.9685
Mn1 0.2500 0.8030 0.7446
Mn2 0.7500 0.1970 0.2554
O1 0.5213 0.3370 0.1735
O2 0.0213 0.6630 0.8265
O3 0.4787 0.6630 0.8265
O4 0.9787 0.3370 0.1735
O5 0.7500 0.1992 0.4701
O6 0.7500 0.9276 0.1882
O7 0.2500 0.8008 0.5299
O8 0.2500 0.0724 0.8118

---

# 6
# NaMnP meta-GGA r2SCAN optimized geometry
# Space-group type: P4/nmm
# M_tot (Bohr magnetons per cell): 4.991
data_NaMnP
_space_group_name_H-M_alt 'P 1'
_space_group_IT_number 1
_space_group_name_Hall 'P 1'
_cell_length_a 3.7761
_cell_length_b 3.7761
_cell_length_c 7.1089
_cell_angle_alpha 90.00
_cell_angle_beta 90.00
_cell_angle_gamma 90.00
loop_
_atom_site_label
_atom_site_fract_x
_atom_site_fract_y
_atom_site_fract_z
Na1 0.2500 0.2500 0.6430
Na2 0.7500 0.7500 0.3570
Mn1 0.2500 0.7500 0.0000
Mn2 0.7500 0.2500 0.0000
P1 0.2500 0.2500 0.1961
P2 0.7500 0.7500 0.8039

---

# 7
# Na2Mn2S3 meta-GGA r2SCAN optimized geometry
# Space-group type: C2/c
# M_tot (Bohr magnetons per cell): 40.000
data_Na2Mn2S3
_space_group_name_H-M_alt 'P 1'
_space_group_IT_number 1
_space_group_name_Hall 'P 1'
_cell_length_a 9.9763
_cell_length_b 9.9763
_cell_length_c 6.9193
_cell_angle_alpha 70.24
_cell_angle_beta 70.24
_cell_angle_gamma 83.80
loop_
_atom_site_label
_atom_site_fract_x
_atom_site_fract_y
_atom_site_fract_z
Na1 0.9883 0.8154 0.1283
Na2 0.1846 0.0117 0.3717
Na3 0.0117 0.1846 0.8717
Na4 0.8154 0.9883 0.6283
Na5 0.2815 0.7185 0.2500
Na6 0.7185 0.2815 0.7500
Na7 0.5712 0.4288 0.2500
Na8 0.4288 0.5712 0.7500
Mn1 0.0836 0.5561 0.7548
Mn2 0.9164 0.4439 0.2452
Mn3 0.5561 0.0836 0.2548
Mn4 0.3643 0.2172 0.7974
Mn5 0.7828 0.6357 0.7026
Mn6 0.6357 0.7828 0.2026
Mn7 0.2172 0.3643 0.2974
Mn8 0.4439 0.9164 0.7452
S1 0.2275 0.0003 0.9532
S2 0.0003 0.2275 0.4532
S3 0.7725 0.9997 0.0468
S4 0.5812 0.1447 0.5553
S5 0.8553 0.4188 0.9447
S6 0.4188 0.8553 0.4447
S7 0.9997 0.7725 0.5468
S8 0.1447 0.5812 0.0553
S9 0.4324 0.2817 0.0643
S10 0.7183 0.5676 0.4357
S11 0.5676 0.7183 0.9357
S12 0.2817 0.4324 0.5643

---

# 8
# Na2Mn2Se3 meta-GGA r2SCAN optimized geometry
# Space-group type: C2/c
# M_tot (Bohr magnetons per cell): 40.000
data_Na2Mn2Se3
_space_group_name_H-M_alt 'P 1'
_space_group_IT_number 1
_space_group_name_Hall 'P 1'
_cell_length_a 10.4085
_cell_length_b 10.4085
_cell_length_c 7.2768
_cell_angle_alpha 69.92
_cell_angle_beta 69.92
_cell_angle_gamma 83.87
loop_
_atom_site_label
_atom_site_fract_x
_atom_site_fract_y
_atom_site_fract_z
Na1 0.0195 0.1879 0.3568
Na2 0.8121 0.9805 0.1432
Na3 0.9805 0.8121 0.6432
Na4 0.1879 0.0195 0.8568
Na5 0.7206 0.2794 0.2500
Na6 0.2794 0.7206 0.7500
Na7 0.4298 0.5702 0.2500
Na8 0.5702 0.4298 0.7500
Mn1 0.4448 0.9182 0.2418
Mn2 0.0818 0.5552 0.2582
Mn3 0.5552 0.0818 0.7582
Mn4 0.9182 0.4448 0.7418
Mn5 0.6338 0.7858 0.7030
Mn6 0.2142 0.3662 0.7970
Mn7 0.3662 0.2142 0.2970
Mn8 0.7858 0.6338 0.2030
Se1 0.2248 0.9972 0.4542
Se2 0.0028 0.7752 0.0458
Se3 0.7752 0.0028 0.5458
Se4 0.9972 0.2248 0.9542
Se5 0.8534 0.4135 0.4488
Se6 0.5865 0.1466 0.0512
Se7 0.1466 0.5865 0.5512
Se8 0.4135 0.8534 0.9488
Se9 0.5687 0.7194 0.4349
Se10 0.2806 0.4313 0.0651
Se11 0.4313 0.2806 0.5651
Se12 0.7194 0.5687 0.9349

---

| no. | DFT formation energy (eV/atom) |
| --- | --- |
| 1 | -1.520 |
| 2 | -2.052 |
| 3 | -1.523 |
| 4 | -1.687 |
| 5 | -1.916 |
| 6 | -0.510 |
| 7 | -1.220 |
| 8 | -1.134 |